A plane-wave DFT calculation with GGA-PBE was carried out for an optimized crystal structure of InO3.

Cell: 7.9125 8.7646 6.8842 Å, 90.00 90.00 90.00°
Last column: nearest neighbours and their distance in Å.
Space group Imm2 (No. 44)
Symmetry-distinct sites (fractional):
In1 0.2456 0.2461 0.0000  2 O 1.96-1.99
O1 0.0000 0.3504 0.1495  1 O 1.38
O2 0.0000 0.3514 0.3497  1 O 1.38
O3 0.0808 0.0000 0.9160  1 O 1.28
O4 0.0857 0.0000 0.5931  1 O 1.36
O5 0.1785 0.3405 0.7484  2 In 1.96-1.99

Results
The total energy after the MP2020 corrections comes out at -5.049 eV/atom. The electronic total energy comes out at -0.362 Ry per atom. The calculation puts the formation energy at -0.650 eV per atom.